Compound: Li2SiH18C6N4
Source: the Materials Project database
Functional: PBE
Structure: relaxed

```
248
Lattice="10.214 6.650 0.000 -10.214 6.650 0.000 0.094 -6.650 18.649" Properties=species:S:1:pos:R:3 pbc="T T T"
C -4.277 -1.359 18.631
C 4.505 6.010 4.509
C 5.447 1.930 15.260
C -8.977 5.479 1.281
C 0.370 8.127 7.140
C -3.320 3.643 2.746
C 6.983 4.836 1.788
C -3.823 1.171 10.605
C -0.275 -1.476 11.508
C 5.524 -1.476 16.465
C 5.346 3.712 8.963
C -0.863 0.509 3.366
C -6.889 1.814 16.861
C 0.649 -0.641 4.815
C -8.291 1.814 11.112
C -4.481 6.007 6.926
C -0.579 6.007 2.398
C -0.555 7.291 13.834
C 2.782 6.155 0.240
C 1.834 3.008 12.070
C -2.277 7.146 9.564
C -0.192 10.362 0.361
C -1.089 -2.646 14.911
C -1.739 3.643 6.578
C 0.293 4.721 5.936
C -3.876 4.004 13.062
C 6.017 7.159 5.959
C 8.385 4.836 7.536
C -5.252 2.939 9.685
C -4.410 0.641 14.139
C 3.970 2.646 5.586
C -2.688 0.495 18.409
C 0.958 6.142 15.283
C 0.673 0.643 16.251
C -5.429 8.127 2.184
C 0.287 -3.712 18.288
C 3.415 3.008 15.903
C 9.071 1.171 17.368
C 4.575 0.643 11.722
C 1.184 9.297 3.738
C -0.199 1.930 12.713
C 4.372 8.010 0.018
C -0.688 5.291 9.342
C 2.372 -0.495 9.085
C 0.783 1.359 9.306
C 3.917 5.479 8.043
C -5.923 -0.509 12.690
C -5.353 4.721 3.389
H 5.596 2.687 14.470
H -2.732 0.165 17.359
H -3.809 1.194 5.183
H -0.347 2.687 13.503
H 3.659 5.554 9.111
H 4.360 1.664 11.354
H -5.255 8.336 1.110
H 4.162 8.055 1.098
H 5.405 0.776 12.445
H -4.924 6.545 7.788
H 0.770 5.653 5.604
H -0.765 -1.670 7.261
H 1.545 -0.305 4.252
H 3.396 3.702 15.043
H 0.196 9.345 0.579
H -8.086 5.072 1.800
H 3.695 1.742 5.001
H -2.202 -0.796 7.755
H -0.794 4.986 2.029
H -2.932 1.579 11.124
H -1.624 0.647 18.647
H -4.334 4.254 0.345
H 2.296 7.446 10.893
H -3.301 2.948 3.606
H 4.266 2.373 2.585
H -4.602 -0.112 14.923
H -0.742 2.286 11.814
H -2.764 3.780 6.942
H -0.100 -1.686 10.435
H 0.404 4.047 18.088
H 1.719 6.003 0.001
H -3.565 1.097 9.538
H 0.083 5.637 15.743
H -2.295 3.780 2.383
H 0.860 8.321 11.388
H -4.265 4.986 7.295
H -1.251 1.194 4.141
H -1.451 6.955 14.397
H 5.990 2.286 16.159
H 8.181 1.579 16.849
H -5.420 5.637 0.093
H 5.349 -1.686 17.538
H -3.341 7.298 9.326
H -1.777 8.137 9.518
H -5.311 5.874 6.204
H 2.859 2.871 11.707
H -1.758 2.948 5.719
H 0.230 0.106 17.112
H -5.829 5.653 3.720
H 0.889 1.664 16.619
H -5.825 1.670 16.585
H 4.696 6.762 3.725
H -3.189 3.222 13.448
H -5.501 3.963 4.178
H -1.180 3.130 7.386
H -5.896 4.364 2.490
H 0.011 1.013 2.906
H 1.853 3.702 12.930
H 3.646 2.441 6.626
H -0.157 0.776 15.528
H -6.871 2.337 17.838
H -0.309 2.603 0.561
H 3.974 3.521 16.711
H -1.051 -0.683 11.541
H -9.113 6.513 1.633
H 6.300 -0.683 16.432
H 2.826 6.485 1.290
H 3.027 5.072 7.525
H 0.836 4.364 6.835
H 3.904 5.456 13.466
H -0.726 4.254 8.979
H 6.418 3.619 9.202
H 0.442 3.963 5.146
H 5.924 0.997 14.928
H 6.966 4.314 0.811
H -0.898 5.246 10.423
H 4.254 5.062 4.014
H -4.864 3.956 9.904
H 0.360 5.637 9.231
H 1.871 10.079 4.123
H -3.552 4.210 12.022
H 1.345 5.456 14.507
H 0.992 1.404 8.226
H -4.160 1.589 14.634
H 4.845 4.047 9.885
H -9.314 5.062 5.310
H 4.053 6.513 7.692
H 3.284 3.429 5.201
H 5.514 1.014 18.556
H -0.136 6.545 1.537
H 5.920 4.980 2.064
H -1.619 0.406 2.578
H 5.019 0.106 10.861
H 4.428 2.397 18.303
H -6.206 7.333 2.217
H -2.234 6.816 10.614
H 0.821 2.397 9.670
H 5.143 7.664 6.419
H -4.068 -1.404 17.550
H 2.328 -0.165 8.035
H 1.358 -3.619 18.526
H 1.508 9.091 2.698
H 3.535 6.245 11.902
H 1.274 3.521 11.262
H -3.880 3.130 1.938
H 8.402 4.314 8.514
H -4.171 4.278 16.064
H 3.283 5.164 0.193
H 1.459 8.393 4.323
H 0.251 5.874 3.121
H -1.413 -2.441 15.951
H 3.436 -0.647 9.323
H 0.195 8.336 8.214
H -0.675 0.997 13.045
H 4.959 2.694 8.745
H -0.794 -2.373 11.909
H -1.776 -3.429 14.525
H 2.390 2.871 16.266
H -5.048 -1.013 12.230
H -6.323 3.032 9.447
H -1.401 -5.554 18.435
H -1.365 -1.742 14.326
H -1.264 10.269 0.123
H -7.262 0.796 17.080
H 7.356 5.855 1.569
H -3.601 4.908 13.647
H 1.495 12.204 0.214
H 0.458 0.112 5.599
H 9.207 0.137 17.016
H 3.609 6.346 5.072
H -8.308 2.337 10.135
H -4.751 2.603 8.764
H 0.888 9.023 6.740
H -0.101 -2.694 18.069
H -3.959 0.137 10.957
H -3.514 0.305 13.576
H -3.441 0.406 6.746
H 1.714 6.245 16.071
H 1.872 -1.487 9.131
H 9.408 1.589 13.339
H -0.364 6.539 13.050
H -0.266 1.014 9.417
H 1.146 7.333 7.107
H -3.188 1.487 18.455
N -0.243 9.641 3.842
N -3.323 6.697 6.344
N 0.071 -4.685 17.225
N 3.465 0.519 18.025
N 0.958 -1.147 12.242
N 1.784 0.519 9.948
N -3.370 6.132 0.624
N -7.525 2.528 12.144
N 0.024 11.335 1.424
N -0.518 -0.790 3.949
N -3.931 4.920 3.127
N 5.397 2.990 5.482
N -0.863 7.798 6.407
N -5.302 3.660 13.166
N 7.619 4.122 6.505
N 5.672 5.861 5.375
N -5.578 0.790 13.273
N 0.337 -2.990 14.807
N -7.655 2.528 15.829
N 4.291 -1.147 15.731
N -5.036 1.966 10.748
N 3.417 -0.046 12.305
N 0.613 7.440 14.700
N -1.129 4.920 6.197
N 7.749 4.122 2.820
N 1.831 -0.046 15.668
N 4.025 1.731 15.521
N -1.737 6.697 2.981
N -4.197 7.798 2.918
N 1.224 1.731 12.452
N -1.689 6.132 8.700
N 5.130 4.685 7.901
Li 4.469 -1.070 13.707
Li -2.044 8.733 2.698
Li 3.110 -2.082 12.022
Li -6.079 3.577 15.056
Li -7.590 1.468 13.986
Li -1.020 9.724 5.732
Li -3.016 8.733 6.627
Li 2.624 1.028 13.986
Li -0.686 7.721 4.382
Li 6.174 3.074 3.592
Li 7.684 5.182 4.662
Li 0.780 -1.070 14.266
Li -2.530 5.622 4.662
Li -4.374 7.721 4.942
Li 2.139 -2.082 15.951
Li 1.114 -3.074 12.917
Si -5.827 2.280 12.288
Si -1.742 6.433 6.967
Si 1.836 0.217 11.682
Si -3.318 6.433 2.358
Si 3.412 0.217 16.291
Si 0.862 -4.370 15.685
Si 5.921 4.370 6.361
Si -0.767 11.021 2.963
```

Results
Its total energy is -5.360 eV per atom. Its crystal system is monoclinic. As for the symmetry: No. 15. As for the MP2020-corrected energy: -5.41 eV per atom. For the magnetization, the calculation gives 0.15 Bohr magnetons per cell.

---

Compound: LiSi3H27C9N2
Source: the Materials Project database
Functional: PBE
Structure: relaxed

```
168
Lattice="9.216 -0.005 -0.352 -4.441 8.794 -1.888 -0.002 0.021 23.107" Properties=species:S:1:pos:R:3 pbc="T T T"
H -0.308 2.128 18.909
H 5.943 4.113 13.761
H 4.148 6.310 8.338
H -1.170 4.697 7.106
H 3.707 4.894 17.190
H 1.907 2.292 11.345
H 1.466 1.130 5.704
H 2.152 0.156 18.504
H 5.969 1.028 0.701
H 0.625 2.501 12.529
H 3.943 3.070 9.487
H 3.148 1.688 22.353
H -0.728 4.907 11.585
H -0.203 6.170 4.493
H 6.101 6.082 12.078
H 5.767 0.725 6.471
H 6.273 3.940 2.861
H 5.294 0.902 16.580
H 7.256 0.249 12.774
H 8.248 0.986 8.452
H 2.343 6.662 4.660
H 6.295 3.955 19.901
H 1.967 5.653 -0.550
H 5.180 3.035 10.786
H -0.903 6.069 20.581
H 3.565 4.394 12.783
H 2.146 5.653 16.818
H 2.621 8.654 2.362
H 3.392 0.040 19.778
H 2.430 2.148 16.207
H 6.265 5.262 16.712
H 4.976 2.641 16.374
H 2.190 8.057 12.236
H -0.219 1.618 5.403
H 7.020 0.796 20.036
H 3.221 8.007 5.422
H 6.448 2.320 3.588
H 3.873 6.354 5.509
H 0.900 2.457 15.358
H -2.483 8.561 8.093
H 2.978 0.573 1.841
H 8.024 1.855 9.981
H -0.521 7.908 4.287
H 6.649 2.059 16.491
H 4.238 1.531 6.899
H 3.277 0.346 3.562
H 3.076 6.149 21.267
H -1.522 4.855 0.965
H -2.046 7.024 21.541
H 3.836 5.472 1.588
H 2.806 3.157 21.417
H -1.328 2.728 8.789
H 2.583 0.753 8.631
H -4.161 8.723 3.261
H 1.552 0.803 15.445
H 5.081 6.682 1.958
H -0.365 3.906 0.007
H 1.496 8.465 17.305
H 4.992 7.192 15.464
H 0.118 4.573 1.584
H 3.307 7.680 15.163
H -1.876 6.751 4.376
H 5.138 4.905 20.860
H 2.594 5.336 18.508
H 6.819 1.787 -0.674
H 8.934 0.088 17.606
H -2.247 8.015 0.830
H 0.535 7.279 13.967
H 1.697 2.661 -0.400
H -3.140 8.341 6.460
H -0.994 8.085 14.395
H 3.524 7.944 8.654
H 1.637 7.240 1.946
H 2.184 4.595 13.887
H -3.251 6.956 10.885
H 5.676 2.742 0.286
H 1.626 7.122 -1.486
H 3.136 1.570 18.921
H 5.173 5.751 0.447
H 3.813 4.365 14.545
H -0.400 3.059 20.420
H 1.249 0.867 12.213
H 1.066 3.917 3.677
H 1.381 8.770 1.088
H 1.208 4.416 8.084
H 2.866 6.519 9.522
H 7.501 3.344 14.129
H -0.407 5.776 10.081
H -1.196 7.782 20.166
H 2.627 3.158 4.049
H 2.589 4.215 6.980
H -1.492 3.549 4.155
H -2.728 5.467 6.738
H -0.941 6.323 14.224
H -1.500 4.870 18.006
H 5.714 2.487 6.642
H 5.501 3.904 9.281
H 1.795 8.237 19.026
H 6.774 3.154 12.515
H -1.675 6.491 17.279
H 2.179 3.474 2.359
H 0.830 5.740 11.380
H 7.914 0.469 14.406
H 0.937 3.338 19.279
H -2.001 5.656 8.352
H 0.960 4.445 6.322
H -3.475 7.824 12.415
H 4.655 4.237 19.283
C 1.786 3.161 3.335
C 0.290 2.562 19.721
C 7.661 1.770 8.947
C -0.248 5.810 11.171
C -0.707 4.113 1.028
C -2.220 8.550 7.027
C 4.177 7.835 15.822
C 2.987 5.649 17.532
C 1.537 1.922 12.314
C 1.828 1.861 15.336
C 3.236 6.888 8.553
C 6.547 3.216 13.586
C 6.993 0.260 13.840
C 0.596 0.976 5.044
C 2.623 0.689 19.341
C -1.773 5.595 7.281
C 6.992 3.137 3.091
C 1.636 4.752 7.130
C -1.670 6.857 20.523
C -0.877 6.991 4.777
C 2.339 2.286 21.906
C 2.499 0.273 2.786
C 5.021 3.001 9.696
C 2.150 8.121 1.526
C -2.219 5.674 17.776
C 2.434 6.524 -1.039
C 5.650 1.819 16.090
C -0.552 7.269 13.808
C 5.325 1.541 7.058
C 4.483 6.249 1.146
C 5.480 4.697 19.839
C 3.137 4.058 13.737
C 2.274 8.537 18.081
C -2.888 7.040 11.920
C 6.443 1.953 0.343
C 2.945 6.949 5.531
Li 0.819 7.863 9.566
Li 3.954 0.948 11.300
Li 3.809 8.361 20.433
Li 0.964 0.449 0.434
Si 5.763 1.621 14.218
Si 3.689 7.400 17.589
Si 2.030 6.597 7.139
Si -1.016 7.345 11.974
Si -3.025 6.248 19.381
Si 5.789 1.466 8.892
Si 2.743 2.213 13.728
Si 3.404 7.526 0.243
Si -0.990 7.189 6.649
Si 7.799 2.563 1.485
Si 1.369 1.284 20.624
Si 1.084 1.410 3.278
N 4.215 8.726 -0.705
N 5.155 0.159 9.838
N 0.558 0.084 21.572
N 0.565 7.544 7.435
N -0.382 8.652 11.029
N -0.190 1.299 2.058
N 4.963 7.511 18.809
N 4.208 1.266 13.432
```

Results
Its total energy is -5.206 eV per atom. Its crystal system is triclinic. As for the symmetry: No. 2. As for the MP2020-corrected energy: -5.22 eV per atom. For the magnetization, the calculation gives 0.01 Bohr magnetons per cell.